Compound: Cs5Ti6AgSe27
Source: the Materials Project
Functional: PBE-GGA
Structure: relaxed

Calculated values
- Total magnetic moment: 0.00 μB per cell
- Formation energy: -1.172 eV per atom
- Calculated volume: 31.2 Å³ per atom

abc: 14.117 14.117 14.090
angles: 90.00 90.00 120.00
Fractional coordinates of all 78 atoms:
Se (0.400, 0.875, 0.899)
Se (0.526, 0.539, 0.520)
Se (0.925, 0.116, 0.888)
Se (0.179, 0.478, 0.676)
Se (0.522, 0.700, 0.676)
Se (0.809, 0.884, 0.388)
Se (0.109, 0.310, 0.765)
Se (0.866, 0.328, 0.760)
Se (0.149, 0.330, 0.509)
Se (0.670, 0.819, 0.509)
Se (0.200, 0.891, 0.765)
Se (0.095, 0.202, 0.118)
Se (0.875, 0.400, 0.399)
Se (0.191, 0.075, 0.888)
Se (0.116, 0.925, 0.388)
Se (0.804, 0.649, 0.509)
Se (0.700, 0.522, 0.176)
Se (0.893, 0.798, 0.618)
Se (0.987, 0.461, 0.020)
Se (0.538, 0.672, 0.260)
Se (0.845, 0.196, 0.509)
Se (0.821, 0.300, 0.176)
Se (0.800, 0.690, 0.265)
Se (0.310, 0.109, 0.265)
Se (0.155, 0.351, 0.009)
Se (0.905, 0.107, 0.618)
Se (0.330, 0.149, 0.009)
Se (0.474, 0.013, 0.020)
Se (0.351, 0.155, 0.509)
Se (0.196, 0.845, 0.009)
Se (0.690, 0.800, 0.765)
Se (0.525, 0.125, 0.399)
Se (0.798, 0.893, 0.118)
Se (0.851, 0.181, 0.009)
Se (0.181, 0.851, 0.509)
Se (0.884, 0.809, 0.888)
Se (0.328, 0.866, 0.260)
Se (0.819, 0.670, 0.009)
Se (0.013, 0.474, 0.520)
Se (0.075, 0.191, 0.388)
Se (0.891, 0.200, 0.265)
Se (0.649, 0.804, 0.009)
Se (0.600, 0.475, 0.399)
Se (0.202, 0.095, 0.618)
Se (0.672, 0.538, 0.760)
Se (0.461, 0.987, 0.520)
Se (0.478, 0.179, 0.176)
Se (0.125, 0.525, 0.899)
Se (0.462, 0.134, 0.760)
Se (0.107, 0.905, 0.118)
Se (0.475, 0.600, 0.899)
Se (0.539, 0.526, 0.020)
Se (0.300, 0.821, 0.676)
Se (0.134, 0.462, 0.260)
Ti (0.326, 0.014, 0.634)
Ti (0.338, 0.016, 0.893)
Ti (0.662, 0.678, 0.393)
Ti (0.014, 0.326, 0.134)
Ti (0.312, 0.986, 0.134)
Ti (0.674, 0.688, 0.134)
Ti (0.984, 0.322, 0.893)
Ti (0.688, 0.674, 0.634)
Ti (0.322, 0.984, 0.393)
Ti (0.016, 0.338, 0.393)
Ti (0.986, 0.312, 0.634)
Ti (0.678, 0.662, 0.893)
Cs (0.031, 0.654, 0.253)
Cs (0.623, 0.969, 0.253)
Cs (0.667, 0.333, 0.950)
Cs (0.969, 0.623, 0.753)
Cs (0.346, 0.377, 0.253)
Cs (0.333, 0.667, 0.450)
Cs (0.667, 0.333, 0.583)
Cs (0.654, 0.031, 0.753)
Cs (0.377, 0.346, 0.753)
Cs (0.333, 0.667, 0.083)
Ag (0.000, 0.000, 0.507)
Ag (0.000, 0.000, 0.007)